Entry P
CoH2O2 | GGA+U | relaxed

magnetization	0.0	μB per formula unit

```
CoH2O2
1.0
1.6682 1.7823 -2.0633
4.0072 -0.8420 2.5127
0.7416 -4.4764 -3.2672
Co H O
2 4 4
direct
0.4344 0.0000 0.5000
0.9343 0.0000 0.0000
0.4402 0.4203 0.1737
0.4402 0.5797 0.8263
0.9405 0.4199 0.6745
0.9406 0.5801 0.3255
0.4354 0.7824 0.8278
0.4355 0.2176 0.1722
0.9355 0.2171 0.6724
0.9355 0.7830 0.3276
```

Entry Q
CoH2O2 | GGA+U | relaxed

magnetization	3.0	μB per formula unit
largest piezoelectric modulus	0.81	C/m²

```
CoH2O2
1.0
2.7472 -1.6188 0.0000
2.7472 1.6188 0.0000
-0.2472 0.0000 4.8034
Co H O
1 2 2
direct
0.0000 0.0000 0.0000
0.2057 0.3828 0.5851
0.6172 0.7943 0.4149
0.3025 0.3297 0.7806
0.6703 0.6975 0.2194
```

Best to worst by energy: entry P, entry Q.

Entry P
LiMn4O8 | GGA+U | relaxed

magnetization	13.0	μB per formula unit

```
LiMn4O8
1.0
-2.8935 2.8935 6.0595
2.8935 -2.8935 6.0595
2.8935 2.8935 -6.0595
Li Mn O
1 4 8
direct
0.0000 0.0000 0.0000
0.0707 0.8300 0.2407
0.1700 0.4107 0.2407
0.1700 0.9293 0.7593
0.5893 0.8300 0.7593
0.3285 0.0510 0.7225
0.3285 0.6060 0.2775
0.3355 0.1311 0.2044
0.3940 0.6715 0.7225
0.8689 0.0733 0.2044
0.8689 0.6645 0.7956
0.9267 0.1311 0.7956
0.9490 0.6715 0.2775
```

Entry Q
LiMn4O8 | GGA+U | relaxed

magnetization	13.0	μB per formula unit

```
LiMn4O8
1.0
2.9568 -4.8810 0.0000
2.9568 4.8810 0.0000
0.0000 0.0000 9.4891
Li Mn O
2 8 16
direct
0.1266 0.8734 0.5000
0.8734 0.1266 0.0000
0.1350 0.3752 0.7115
0.1451 0.8549 0.9352
0.3752 0.1350 0.2115
0.3824 0.6176 0.4361
0.6176 0.3824 0.9361
0.6248 0.8650 0.7115
0.8549 0.1451 0.4352
0.8650 0.6248 0.2115
0.0338 0.9662 0.1119
0.0446 0.4980 0.5365
0.2208 0.7792 0.2983
0.2337 0.2683 0.3582
0.2683 0.2337 0.8582
0.2780 0.7220 0.7870
0.4788 0.5212 0.6152
0.4980 0.0446 0.0365
0.5020 0.9554 0.5365
0.5212 0.4788 0.1152
0.7220 0.2780 0.2870
0.7317 0.7663 0.3582
0.7663 0.7317 0.8582
0.7792 0.2208 0.7983
0.9554 0.5020 0.0365
0.9662 0.0338 0.6119
```

Best to worst by energy: entry Q, entry P.

Entry P
MgFe6O6F6 | GGA+U | relaxed

magnetization	28.0	μB per formula unit

```
MgFe6O6F6
1.0
3.0842 0.0000 0.0000
0.0152 7.0323 0.0000
0.0195 3.2229 10.6065
Mg Fe O F
1 6 6 6
direct
0.0000 0.0000 0.0000
0.4861 0.0069 0.5037
0.4927 0.3917 0.8456
0.4939 0.6879 0.2051
0.9803 0.8321 0.7810
0.9890 0.2031 0.1639
0.9888 0.5569 0.4990
0.4803 0.6581 0.8301
0.4879 0.7232 0.5136
0.4961 0.9844 0.1340
0.9857 0.0065 0.6068
0.9933 0.2948 0.9579
0.9927 0.6350 0.3139
0.4873 0.3970 0.1837
0.4890 0.3564 0.4988
0.5012 0.0268 0.8695
0.9850 0.0858 0.3641
0.9882 0.4078 0.7066
0.9941 0.7114 0.0645
```

Entry Q
MgFe6O6F6 | GGA+U | relaxed

magnetization	28.0	μB per formula unit

```
MgFe6O6F6
1.0
3.1089 0.0000 0.0000
-0.0073 5.1434 0.0000
-0.0310 -0.6445 14.2827
Mg Fe O F
1 6 6 6
direct
0.0000 0.0000 0.0000
0.0022 0.5002 0.9440
0.4904 0.8684 0.1973
0.4944 0.8993 0.4915
0.5004 0.9772 0.8118
0.9933 0.3059 0.3306
0.9957 0.4048 0.6178
0.0013 0.1679 0.8696
0.4935 0.1591 0.3916
0.4956 0.5901 0.5785
0.5023 0.7629 0.9255
0.9909 0.0861 0.2187
0.9954 0.0703 0.5535
0.9995 0.7667 0.7508
0.0050 0.7057 0.0833
0.4942 0.5279 0.2683
0.4987 0.2524 0.7108
0.5012 0.2345 0.0298
0.9944 0.6797 0.4199
```

Best to worst by energy: entry P, entry Q.